# 1
{"formula": "GaCuTeSe", "functional": "PBE-GGA", "state": "optimized geometry", "lattice_angstrom": [[-2.942, 2.949, 5.831], [2.942, -2.949, 5.831], [2.942, 2.949, -5.831]], "species": ["Ga", "Ga", "Cu", "Cu", "Te", "Te", "Se", "Se"], "fractional_positions": [[0.134, 0.884, 0.250], [0.366, 0.616, 0.750], [0.634, 0.384, 0.250], [0.866, 0.116, 0.750], [0.250, 0.487, 0.237], [0.750, 0.013, 0.263], [0.506, 0.250, 0.756], [0.994, 0.750, 0.744]], "sg": "I2_12_12_1", "magmom_total_mub_per_atom": 0.000, "vol_a3_per_atom": 25.30}

# 2
{"formula": "CsPO3", "functional": "PBE-GGA", "state": "optimized geometry", "lattice_angstrom": [[-0.039, -3.337, -3.201], [1.853, -4.348, 4.511], [-13.276, -2.637, 2.911]], "species": ["Cs", "Cs", "Cs", "Cs", "P", "P", "P", "P", "O", "O", "O", "O", "O", "O", "O", "O", "O", "O", "O", "O"], "fractional_positions": [[0.233, 0.250, 0.597], [0.767, 0.750, 0.403], [0.267, 0.750, 0.097], [0.733, 0.250, 0.903], [0.309, 0.250, 0.321], [0.691, 0.750, 0.679], [0.191, 0.750, 0.821], [0.809, 0.250, 0.179], [0.261, 0.053, 0.374], [0.739, 0.947, 0.626], [0.239, 0.947, 0.874], [0.739, 0.553, 0.626], [0.761, 0.053, 0.126], [0.261, 0.447, 0.374], [0.761, 0.447, 0.126], [0.239, 0.553, 0.874], [0.143, 0.250, 0.218], [0.857, 0.750, 0.782], [0.357, 0.750, 0.718], [0.643, 0.250, 0.282]], "sg": "Pnma", "vol_a3_per_atom": 20.91}

# 3
{"formula": "K2ZnSe2O10", "functional": "PBE-GGA", "state": "optimized geometry", "lattice_angstrom": [[-4.297, 0.510, -3.341], [1.847, -6.586, -0.203], [-4.121, 1.478, 6.276]], "species": ["K", "K", "Zn", "Se", "Se", "O", "O", "O", "O", "O", "O", "O", "O", "O", "O"], "fractional_positions": [[0.292, 0.690, 0.272], [0.708, 0.310, 0.728], [0.000, 0.000, 0.000], [0.364, 0.699, 0.775], [0.636, 0.301, 0.225], [0.401, 0.876, 0.668], [0.599, 0.124, 0.332], [0.263, 0.436, 0.625], [0.737, 0.564, 0.375], [0.641, 0.744, 0.918], [0.359, 0.256, 0.082], [0.141, 0.729, 0.921], [0.859, 0.271, 0.079], [0.025, 0.006, 0.256], [0.975, 0.994, 0.744]], "sg": "P-1", "magmom_total_mub_per_atom": 0.267, "vol_a3_per_atom": 16.83}

# 4
{"formula": "DyMnCu4P3", "functional": "PBE-GGA", "state": "optimized geometry", "lattice_angstrom": [[3.763, 0.000, 0.000], [0.000, 10.763, 0.000], [0.000, 0.000, 12.492]], "species": ["Dy", "Dy", "Dy", "Dy", "Mn", "Mn", "Mn", "Mn", "Cu", "Cu", "Cu", "Cu", "Cu", "Cu", "Cu", "Cu", "Cu", "Cu", "Cu", "Cu", "Cu", "Cu", "Cu", "Cu", "P", "P", "P", "P", "P", "P", "P", "P", "P", "P", "P", "P"], "fractional_positions": [[0.250, 0.592, 0.793], [0.250, 0.908, 0.293], [0.750, 0.408, 0.207], [0.750, 0.092, 0.707], [0.250, 0.717, 0.526], [0.250, 0.783, 0.026], [0.750, 0.283, 0.474], [0.750, 0.217, 0.974], [0.250, 0.088, 0.503], [0.250, 0.412, 0.003], [0.750, 0.912, 0.497], [0.750, 0.588, 0.997], [0.250, 0.467, 0.563], [0.250, 0.033, 0.063], [0.750, 0.533, 0.437], [0.750, 0.967, 0.937], [0.250, 0.884, 0.811], [0.250, 0.616, 0.311], [0.750, 0.116, 0.189], [0.750, 0.384, 0.689], [0.250, 0.295, 0.814], [0.250, 0.205, 0.314], [0.750, 0.705, 0.186], [0.750, 0.795, 0.686], [0.250, 0.911, 0.619], [0.250, 0.589, 0.119], [0.750, 0.089, 0.381], [0.750, 0.411, 0.881], [0.250, 0.262, 0.622], [0.250, 0.238, 0.122], [0.750, 0.738, 0.378], [0.750, 0.762, 0.878], [0.250, 0.092, 0.880], [0.250, 0.408, 0.380], [0.750, 0.908, 0.120], [0.750, 0.592, 0.620]], "sg": "Pnma", "magmom_total_mub_per_atom": 0.419, "vol_a3_per_atom": 14.05}

# 5
{"formula": "Ca2Sb", "functional": "PBE-GGA", "state": "optimized geometry", "lattice_angstrom": [[-1.407, 4.518, 0.756], [-0.107, -0.824, 4.719], [8.759, 0.544, -2.138]], "species": ["Ca", "Ca", "Ca", "Ca", "Sb", "Sb"], "fractional_positions": [[0.826, 0.826, 0.651], [0.174, 0.174, 0.349], [0.000, 0.500, 0.000], [0.500, 0.000, 0.000], [0.636, 0.636, 0.272], [0.364, 0.364, 0.728]], "sg": "I4/mmm", "vol_a3_per_atom": 32.04}

# 6
{"formula": "SbH5O2F6", "functional": "PBE-GGA", "state": "optimized geometry", "lattice_angstrom": [[-1.447, -3.982, 5.288], [4.452, -3.473, -5.133], [3.542, 5.802, 4.689]], "species": ["Sb", "Sb", "H", "H", "H", "H", "H", "H", "H", "H", "H", "H", "O", "O", "O", "O", "F", "F", "F", "F", "F", "F", "F", "F", "F", "F", "F", "F"], "fractional_positions": [[0.792, 0.557, 0.757], [0.207, 0.442, 0.243], [0.426, 0.873, 0.732], [0.573, 0.124, 0.254], [0.523, 0.137, 0.858], [0.482, 0.863, 0.132], [0.060, 0.131, 0.760], [0.940, 0.869, 0.240], [0.000, 0.000, 0.500], [0.133, 0.293, 0.679], [0.868, 0.707, 0.321], [0.500, 0.998, 0.991], [0.116, 0.150, 0.658], [0.884, 0.850, 0.342], [0.434, 0.996, 0.852], [0.568, 0.003, 0.135], [0.537, 0.600, 0.806], [0.463, 0.400, 0.194], [0.051, 0.515, 0.716], [0.949, 0.486, 0.285], [0.869, 0.755, 0.663], [0.131, 0.246, 0.338], [0.968, 0.797, 0.010], [0.031, 0.202, 0.990], [0.619, 0.308, 0.508], [0.382, 0.692, 0.493], [0.716, 0.357, 0.852], [0.283, 0.644, 0.149]], "sg": "P1", "magmom_total_mub_per_atom": 0.000, "vol_a3_per_atom": 12.06}

# 7
{"formula": "Tm3Ge13Pt4", "functional": "PBE-GGA", "state": "optimized geometry", "lattice_angstrom": [[-5.886, -5.043, 4.695], [6.675, -2.780, 5.462], [-1.613, 7.040, 5.651]], "species": ["Tm", "Tm", "Tm", "Tm", "Tm", "Tm", "Ge", "Ge", "Ge", "Ge", "Ge", "Ge", "Ge", "Ge", "Ge", "Ge", "Ge", "Ge", "Ge", "Ge", "Ge", "Ge", "Ge", "Ge", "Ge", "Ge", "Ge", "Ge", "Ge", "Ge", "Ge", "Ge", "Pt", "Pt", "Pt", "Pt", "Pt", "Pt", "Pt", "Pt"], "fractional_positions": [[0.000, 0.000, 0.496], [0.000, 0.000, 0.996], [0.500, 0.256, 0.749], [0.256, 0.500, 0.249], [0.742, 0.500, 0.246], [0.500, 0.742, 0.746], [0.505, 0.992, 0.246], [0.992, 0.505, 0.746], [0.827, 0.855, 0.740], [0.855, 0.827, 0.240], [0.153, 0.835, 0.244], [0.835, 0.153, 0.744], [0.496, 0.333, 0.395], [0.333, 0.496, 0.895], [0.996, 0.610, 0.481], [0.610, 0.996, 0.981], [0.332, 0.999, 0.892], [0.999, 0.332, 0.392], [0.734, 0.496, 0.860], [0.496, 0.734, 0.360], [0.329, 0.998, 0.600], [0.998, 0.329, 0.100], [0.116, 0.772, 0.747], [0.772, 0.116, 0.247], [0.002, 0.614, 0.021], [0.614, 0.002, 0.521], [0.498, 0.330, 0.093], [0.330, 0.498, 0.593], [0.251, 0.111, 0.248], [0.111, 0.251, 0.748], [0.655, 0.504, 0.583], [0.504, 0.655, 0.083], [0.748, 0.250, 0.494], [0.250, 0.748, 0.994], [0.248, 0.747, 0.495], [0.747, 0.248, 0.995], [0.244, 0.243, 0.497], [0.243, 0.244, 0.997], [0.751, 0.750, 0.989], [0.750, 0.751, 0.489]], "sg": "Cc", "magmom_total_mub_per_atom": 0.000, "vol_a3_per_atom": 18.83}

# 8
{"formula": "ErNi4", "functional": "PBE-GGA", "state": "optimized geometry", "lattice_angstrom": [[-4.187, 0.578, -2.327], [-1.439, 4.441, -1.311], [3.274, -0.857, -9.566]], "species": ["Er", "Er", "Er", "Ni", "Ni", "Ni", "Ni", "Ni", "Ni", "Ni", "Ni", "Ni", "Ni", "Ni", "Ni"], "fractional_positions": [[0.000, 0.000, 0.000], [0.868, 0.000, 0.355], [0.132, 0.000, 0.645], [0.334, 0.333, 0.000], [0.666, 0.667, 0.000], [0.422, 0.000, 0.200], [0.578, 0.000, 0.800], [0.928, 0.502, 0.198], [0.430, 0.498, 0.198], [0.072, 0.498, 0.802], [0.570, 0.502, 0.802], [0.189, 0.344, 0.405], [0.533, 0.656, 0.405], [0.811, 0.656, 0.595], [0.467, 0.344, 0.595]], "sg": "C2/m", "magmom_total_mub_per_atom": 0.161, "vol_a3_per_atom": 13.54}

# 9
{"formula": "Ti4Co5Ni", "functional": "PBE-GGA", "state": "optimized geometry", "lattice_angstrom": [[-2.707, -0.188, -1.348], [-0.205, -2.911, 0.817], [-6.191, 3.778, 11.911]], "species": ["Ti", "Ti", "Ti", "Ti", "Co", "Co", "Co", "Co", "Co", "Ni"], "fractional_positions": [[0.500, 0.500, 0.184], [0.500, 0.500, 0.395], [0.500, 0.500, 0.605], [0.500, 0.500, 0.816], [0.000, 0.000, 0.907], [0.000, 0.000, 0.093], [0.000, 0.000, 0.295], [0.000, 0.000, 0.500], [0.000, 0.000, 0.705], [0.500, 0.500, 0.000]], "sg": "P4/mmm", "magmom_total_mub_per_atom": 0.214, "vol_a3_per_atom": 12.80}

# 10
{"formula": "Na5Y3HfP6O24", "functional": "PBE-GGA", "state": "optimized geometry", "lattice_angstrom": [[-1.314, -0.257, -9.120], [-6.743, -2.610, 5.701], [-8.164, 22.112, 0.532]], "species": ["Na", "Na", "Na", "Na", "Na", "Na", "Na", "Na", "Na", "Na", "Na", "Na", "Na", "Na", "Na", "Y", "Y", "Y", "Y", "Y", "Y", "Y", "Y", "Y", "Hf", "Hf", "Hf", "P", "P", "P", "P", "P", "P", "P", "P", "P", "P", "P", "P", "P", "P", "P", "P", "P", "P", "O", "O", "O", "O", "O", "O", "O", "O", "O", "O", "O", "O", "O", "O", "O", "O", "O", "O", "O", "O", "O", "O", "O", "O", "O", "O", "O", "O", "O", "O", "O", "O", "O", "O", "O", "O", "O", "O", "O", "O", "O", "O", "O", "O", "O", "O", "O", "O", "O", "O", "O", "O", "O", "O", "O", "O", "O", "O", "O", "O", "O", "O", "O", "O", "O", "O", "O", "O", "O", "O", "O", "O"], "fractional_positions": [[0.638, 0.999, 0.253], [0.362, 0.363, 0.254], [0.000, 0.638, 0.254], [0.643, 0.639, 0.750], [0.997, 0.359, 0.750], [0.033, 0.699, 0.581], [0.664, 0.966, 0.581], [0.664, 0.699, 0.081], [0.034, 0.333, 0.081], [0.010, 0.011, 0.496], [0.010, 0.000, 0.995], [0.656, 0.323, 0.835], [0.667, 0.333, 0.341], [0.333, 0.677, 0.166], [0.334, 0.666, 0.664], [0.998, 0.999, 0.355], [0.002, 0.000, 0.853], [0.012, 0.009, 0.650], [0.008, 0.999, 0.147], [0.655, 0.325, 0.684], [0.663, 0.330, 0.181], [0.333, 0.674, 0.014], [0.333, 0.658, 0.514], [0.333, 0.666, 0.325], [0.665, 0.332, 0.978], [0.664, 0.334, 0.481], [0.333, 0.673, 0.821], [0.297, 0.997, 0.251], [0.701, 0.703, 0.248], [0.002, 0.299, 0.248], [0.298, 0.308, 0.753], [0.006, 0.701, 0.750], [0.698, 0.993, 0.751], [0.954, 0.333, 0.583], [0.374, 0.039, 0.580], [0.669, 0.628, 0.583], [0.955, 0.621, 0.081], [0.668, 0.041, 0.082], [0.375, 0.335, 0.081], [0.625, 0.660, 0.918], [0.034, 0.374, 0.918], [0.340, 0.968, 0.917], [0.635, 0.976, 0.419], [0.340, 0.364, 0.417], [0.025, 0.659, 0.419], [0.213, 0.026, 0.302], [0.816, 0.791, 0.299], [0.974, 0.183, 0.299], [0.213, 0.195, 0.804], [0.973, 0.788, 0.800], [0.817, 0.023, 0.801], [0.770, 0.959, 0.696], [0.189, 0.233, 0.700], [0.035, 0.802, 0.695], [0.779, 0.806, 0.193], [0.028, 0.221, 0.193], [0.190, 0.970, 0.197], [0.880, 0.357, 0.639], [0.477, 0.116, 0.634], [0.648, 0.532, 0.639], [0.882, 0.525, 0.137], [0.647, 0.114, 0.138], [0.472, 0.358, 0.137], [0.477, 0.321, 0.030], [0.837, 0.520, 0.031], [0.683, 0.159, 0.031], [0.470, 0.152, 0.529], [0.684, 0.527, 0.533], [0.838, 0.315, 0.533], [0.547, 0.682, 0.972], [0.135, 0.452, 0.972], [0.316, 0.865, 0.970], [0.547, 0.866, 0.471], [0.318, 0.455, 0.467], [0.134, 0.681, 0.471], [0.101, 0.632, 0.364], [0.532, 0.899, 0.364], [0.368, 0.464, 0.361], [0.128, 0.490, 0.865], [0.362, 0.873, 0.865], [0.511, 0.640, 0.865], [0.004, 0.814, 0.414], [0.810, 0.996, 0.414], [0.186, 0.188, 0.413], [0.011, 0.199, 0.910], [0.189, 0.990, 0.910], [0.800, 0.812, 0.910], [0.961, 0.168, 0.586], [0.196, 0.016, 0.584], [0.834, 0.802, 0.585], [0.961, 0.792, 0.083], [0.833, 0.034, 0.083], [0.197, 0.180, 0.082], [0.684, 0.152, 0.746], [0.479, 0.341, 0.747], [0.850, 0.522, 0.746], [0.680, 0.525, 0.244], [0.845, 0.319, 0.244], [0.474, 0.155, 0.245], [0.637, 0.496, 0.923], [0.858, 0.363, 0.924], [0.504, 0.142, 0.923], [0.650, 0.151, 0.427], [0.501, 0.351, 0.426], [0.849, 0.499, 0.427], [0.360, 0.495, 0.076], [0.127, 0.633, 0.076], [0.520, 0.861, 0.077], [0.356, 0.862, 0.576], [0.520, 0.659, 0.578], [0.127, 0.493, 0.577], [0.316, 0.840, 0.256], [0.525, 0.686, 0.255], [0.160, 0.476, 0.255], [0.313, 0.486, 0.762], [0.161, 0.676, 0.761], [0.524, 0.831, 0.762]], "sg": "P1", "magmom_total_mub_per_atom": 0.000, "vol_a3_per_atom": 14.81}

# 11
{"formula": "BaGa2", "functional": "PBE-GGA", "state": "optimized geometry", "lattice_angstrom": [[0.396, 3.430, 2.855], [-1.849, -3.847, 1.363], [4.602, -1.711, 1.416]], "species": ["Ba", "Ga", "Ga"], "fractional_positions": [[0.000, 0.000, 0.000], [0.667, 0.333, 0.500], [0.333, 0.667, 0.500]], "sg": "P6/mmm", "vol_a3_per_atom": 29.61}

# 12
{"formula": "Pr2Zn5Sn", "functional": "PBE-GGA", "state": "optimized geometry", "lattice_angstrom": [[6.014, 5.885, 1.903], [-7.620, -1.985, -3.525], [-4.107, 1.622, 7.964]], "species": ["Pr", "Pr", "Pr", "Pr", "Zn", "Zn", "Zn", "Zn", "Zn", "Zn", "Zn", "Zn", "Zn", "Zn", "Sn", "Sn"], "fractional_positions": [[0.206, 0.794, 0.250], [0.794, 0.206, 0.750], [0.000, 0.000, 0.500], [0.000, 0.000, 0.000], [0.814, 0.186, 0.392], [0.186, 0.814, 0.608], [0.814, 0.186, 0.108], [0.186, 0.814, 0.892], [0.656, 0.344, 0.484], [0.344, 0.656, 0.516], [0.656, 0.344, 0.016], [0.344, 0.656, 0.984], [0.396, 0.604, 0.250], [0.604, 0.396, 0.750], [0.555, 0.445, 0.250], [0.445, 0.555, 0.750]], "sg": "Cmcm", "vol_a3_per_atom": 21.41}

# 13
{"formula": "LaFe6Co6B6", "functional": "PBE-GGA", "state": "optimized geometry", "lattice_angstrom": [[3.711, -4.757, 0.000], [3.711, 4.757, 0.000], [-2.387, 0.000, 5.541]], "species": ["La", "Fe", "Fe", "Fe", "Fe", "Fe", "Fe", "Co", "Co", "Co", "Co", "Co", "Co", "B", "B", "B", "B", "B", "B"], "fractional_positions": [[0.000, 0.000, 0.000], [0.132, 0.868, 0.500], [0.500, 0.132, 0.868], [0.868, 0.500, 0.132], [0.500, 0.868, 0.132], [0.132, 0.500, 0.868], [0.868, 0.132, 0.500], [0.541, 0.813, 0.541], [0.541, 0.541, 0.813], [0.813, 0.541, 0.541], [0.459, 0.187, 0.459], [0.459, 0.459, 0.187], [0.187, 0.459, 0.459], [0.768, 0.326, 0.768], [0.768, 0.768, 0.326], [0.326, 0.768, 0.768], [0.232, 0.674, 0.232], [0.232, 0.232, 0.674], [0.674, 0.232, 0.232]], "sg": "R-3m", "magmom_total_mub_per_atom": 0.599, "vol_a3_per_atom": 10.30}

Calculated DFT formation energy in order - -478, -2672, -1151, -466, -945, -1995, -492, -374, -301, -3113, -463, -459, -281 meV per atom